A relaxed structure of Sm6Si4S17, computed with r²SCAN.

Values from the calculation:
- Total energy: -395.3 eV per formula unit

Cell: 8.915 9.852 14.132 Å, 82.03 87.44 88.98°
Space group P-1 (No. 2)
Asymmetric unit:
Sm: 0.011 0.266 0.465 x2
Sm: 0.088 0.581 0.165 x2
Sm: 0.106 0.884 0.814 x2
Sm: 0.336 0.909 0.342 x2
Sm: 0.363 0.560 0.678 x2
Sm: 0.449 0.238 0.002 x2
Si: 0.232 0.940 0.099 x2
Si: 0.249 0.559 0.923 x2
Si: 0.250 0.001 0.583 x2
Si: 0.280 0.555 0.392 x2
S: 0.010 0.875 0.117 x2
S: 0.015 0.993 0.622 x2
S: 0.039 0.651 0.952 x2
S: 0.061 0.642 0.719 x2
S: 0.111 0.702 0.342 x2
S: 0.184 0.478 0.530 x2
S: 0.251 0.116 0.169 x2
S: 0.255 0.381 0.851 x2
S: 0.301 0.806 0.542 x2
S: 0.303 0.134 0.458 x2
S: 0.316 0.413 0.296 x2
S: 0.321 0.984 0.956 x2
S: 0.341 0.499 0.057 x2
S: 0.355 0.034 0.707 x2
S: 0.371 0.781 0.166 x2
S: 0.380 0.713 0.838 x2
S: 0.487 0.653 0.398 x2

---

A relaxed structure of Sm4Si3S12, computed with r²SCAN.

Values from the calculation:
- Total energy: -272.6 eV per formula unit

Cell: 19.0883 19.0883 7.8646 Å, 90.00 90.00 120.00°
Space group R3c (No. 161, hexagonal axes)
Asymmetric unit:
Sm: 0.0000 0.0000 0.0000 x6
Sm: 0.1049 0.4335 0.4551 x18
Si: 0.0133 0.1992 0.3402 x18
S: 0.0001 0.2681 0.1445 x18
S: 0.0471 0.4855 0.1648 x18
S: 0.0616 0.1249 0.2509 x18
S: 0.2022 0.0847 0.4915 x18

---

A relaxed structure of Sr2SiS4, computed with r²SCAN.

Values from the calculation:
- Total energy: -83.7 eV per formula unit

Cell: 6.609 6.660 8.262 Å, 90.00 108.22 90.00°
Space group P2_1/m (No. 11)
Asymmetric unit:
Sr: 0.216 0.250 0.048 x2
Sr: 0.275 0.250 0.571 x2
Si: 0.221 0.750 0.797 x2
S: 0.010 0.502 0.737 x4
S: 0.386 0.750 0.062 x2
S: 0.417 0.750 0.636 x2

---

A relaxed structure of Tb4Si3S12, computed with r²SCAN.

Values from the calculation:
- Total energy: -278.6 eV per formula unit

Cell: 9.895 11.047 17.199 Å, 90.00 110.80 90.00°
Space group P2_1/c (No. 14)
Asymmetric unit:
Tb: 0.016 0.018 0.125 x4
Tb: 0.105 0.626 0.133 x4
Tb: 0.316 0.650 0.941 x4
Tb: 0.469 0.239 0.290 x4
Si: 0.024 0.214 0.733 x4
Si: 0.258 0.619 0.560 x4
Si: 0.399 0.050 0.619 x4
S: 0.066 0.542 0.814 x4
S: 0.098 0.741 0.487 x4
S: 0.106 0.211 0.863 x4
S: 0.157 0.666 0.313 x4
S: 0.184 0.056 0.026 x4
S: 0.187 0.222 0.191 x4
S: 0.193 0.024 0.526 x4
S: 0.265 0.652 0.683 x4
S: 0.382 0.525 0.229 x4
S: 0.447 0.065 0.406 x4
S: 0.459 0.656 0.552 x4
S: 0.478 0.227 0.628 x4

---

A relaxed structure of Tl4SiS4, computed with r²SCAN.

Values from the calculation:
- Total energy: -259.3 eV per formula unit

Cell: 12.743 11.423 7.656 Å, 90.00 113.69 90.00°
Space group Cc (No. 9)
Asymmetric unit:
Tl: 0.000 0.005 0.000 x4
Tl: 0.193 0.388 0.591 x4
Tl: 0.335 0.129 0.511 x4
Tl: 0.405 0.217 0.040 x4
Si: 0.120 0.293 0.055 x4
S: 0.021 0.434 0.884 x4
S: 0.039 0.224 0.228 x4
S: 0.139 0.160 0.876 x4
S: 0.284 0.355 0.239 x4

---

A relaxed structure of Y3SiS2, computed with r²SCAN.

Values from the calculation:
- Total energy: -97.0 eV per formula unit

Cell: 4.006 5.634 12.011 Å, 90.00 90.00 90.00°
Space group Immm (No. 71)
Asymmetric unit:
Y: 0.000 0.000 0.000 x2
Y: 0.000 0.000 0.336 x4
Si: 0.000 0.500 0.000 x2
S: 0.000 0.500 0.333 x4

---

no.,energy relative to the elements (eV per atom)
1,-1.67
2,-1.63
3,-1.79
4,-1.63
5,-0.63
6,-1.87